[1]
VASP calculation (PBE) on a geometry-optimized Co11C2N10 structure.

Summary:
The formation enthalpy at 0 K comes out at 0.23 eV/atom. The calculated volume is 431.6 Å³/cell. Its space-group type is P4_2/mnm, No. 136. The electronic total energy comes out at -342.20 eV for the cell shown. Its total magnetic moment is 4.9 μB/cell.

Unit cell a=12.390 b=12.390 c=2.812 alpha=90.00 beta=90.00 gamma=90.00
Fractional positions:
Co  0.000  0.000  0.000
Co  0.002  0.224  0.500
Co  0.078  0.595  0.500
Co  0.095  0.422  0.000
Co  0.157  0.843  0.000
Co  0.224  0.002  0.500
Co  0.276  0.502  0.000
Co  0.343  0.343  0.500
Co  0.405  0.922  0.500
Co  0.422  0.095  0.000
Co  0.498  0.724  0.000
Co  0.500  0.500  0.500
Co  0.502  0.276  0.000
Co  0.578  0.905  0.000
Co  0.595  0.078  0.500
Co  0.657  0.657  0.500
Co  0.724  0.498  0.000
Co  0.776  0.998  0.500
Co  0.843  0.157  0.000
Co  0.905  0.578  0.000
Co  0.922  0.405  0.500
Co  0.998  0.776  0.500
C  0.194  0.194  0.000
C  0.306  0.694  0.500
C  0.694  0.306  0.500
C  0.806  0.806  0.000
N  0.018  0.678  0.000
N  0.088  0.912  0.500
N  0.122  0.122  0.000
N  0.178  0.482  0.500
N  0.237  0.763  0.500
N  0.263  0.263  0.000
N  0.322  0.982  0.000
N  0.378  0.622  0.500
N  0.412  0.412  0.000
N  0.482  0.178  0.500
N  0.518  0.822  0.500
N  0.588  0.588  0.000
N  0.622  0.378  0.500
N  0.678  0.018  0.000
N  0.737  0.737  0.000
N  0.763  0.237  0.500
N  0.822  0.518  0.500
N  0.878  0.878  0.000
N  0.912  0.088  0.500
N  0.982  0.322  0.000

---

[2]
VASP calculation (PBE) on a geometry-optimized CoCN2 structure.

Summary:
The formation enthalpy at 0 K comes out at 0.16 eV/atom. The calculated volume is 80.1 Å³/cell. Its space-group type is P6_3/mmc, No. 194. The electronic total energy comes out at -63.27 eV for the cell shown. Its total magnetic moment is 2.0 μB/cell.

Unit cell a=3.111 b=3.111 c=9.560 alpha=90.00 beta=90.00 gamma=120.00
Fractional positions:
Co  0.000  0.000  0.000
Co  0.000  0.000  0.500
C  0.333  0.667  0.250
C  0.667  0.333  0.750
N  0.333  0.667  0.121
N  0.333  0.667  0.379
N  0.667  0.333  0.621
N  0.667  0.333  0.879

---

[3]
VASP calculation (PBE) on a geometry-optimized CoC4N6 structure.

Summary:
The formation enthalpy at 0 K comes out at 0.20 eV/atom. The calculated volume is 319.0 Å³/cell. Its space-group type is Pnnm, No. 58. The electronic total energy comes out at -179.41 eV for the cell shown. Its total magnetic moment is 6.0 μB/cell.

Unit cell a=6.079 b=7.147 c=7.342 alpha=90.00 beta=90.00 gamma=90.00
Fractional positions:
Co  0.000  0.000  0.000
Co  0.500  0.500  0.500
C  0.243  0.344  0.154
C  0.243  0.344  0.846
C  0.257  0.844  0.346
C  0.257  0.844  0.654
C  0.743  0.156  0.346
C  0.743  0.156  0.654
C  0.757  0.656  0.154
C  0.757  0.656  0.846
N  0.175  0.272  0.000
N  0.200  0.901  0.204
N  0.200  0.901  0.796
N  0.300  0.401  0.296
N  0.300  0.401  0.704
N  0.325  0.772  0.500
N  0.675  0.228  0.500
N  0.700  0.599  0.296
N  0.700  0.599  0.704
N  0.800  0.099  0.204
N  0.800  0.099  0.796
N  0.825  0.728  0.000

---

[4]
VASP calculation (PBE) on a geometry-optimized CoCN structure.

Summary:
The formation enthalpy at 0 K comes out at 0.24 eV/atom. The calculated volume is 24.6 Å³/cell. Its space-group type is R3m, No. 160. The electronic total energy comes out at -23.58 eV for the cell shown. Its total magnetic moment is 0.0 μB/cell.

Unit cell a=3.954 b=3.954 c=3.954 alpha=41.54 beta=41.54 gamma=41.54
Fractional positions:
Co  0.000  0.000  0.000
C  0.558  0.558  0.558
N  0.441  0.441  0.441

---

[5]
VASP calculation (PBE) on a geometry-optimized Co4CN4 structure.

Summary:
The formation enthalpy at 0 K comes out at 0.19 eV/atom. The calculated volume is 306.5 Å³/cell. Its space-group type is Pnma, No. 62. The electronic total energy comes out at -271.40 eV for the cell shown. Its total magnetic moment is 0.2 μB/cell.

Unit cell a=9.676 b=2.763 c=11.463 alpha=90.00 beta=90.00 gamma=90.00
Fractional positions:
Co  0.061  0.250  0.143
Co  0.114  0.750  0.349
Co  0.136  0.250  0.601
Co  0.183  0.750  0.775
Co  0.317  0.250  0.275
Co  0.364  0.750  0.101
Co  0.386  0.250  0.849
Co  0.439  0.750  0.643
Co  0.561  0.250  0.357
Co  0.614  0.750  0.151
Co  0.636  0.250  0.899
Co  0.683  0.750  0.725
Co  0.817  0.250  0.225
Co  0.864  0.750  0.399
Co  0.886  0.250  0.651
Co  0.939  0.750  0.857
C  0.149  0.250  0.993
C  0.351  0.750  0.493
C  0.649  0.250  0.507
C  0.851  0.750  0.007
N  0.017  0.750  0.668
N  0.080  0.250  0.891
N  0.210  0.750  0.204
N  0.212  0.750  0.495
N  0.288  0.250  0.995
N  0.290  0.250  0.704
N  0.420  0.750  0.391
N  0.483  0.250  0.168
N  0.517  0.750  0.832
N  0.580  0.250  0.609
N  0.710  0.750  0.296
N  0.712  0.750  0.005
N  0.788  0.250  0.505
N  0.790  0.250  0.796
N  0.920  0.750  0.109
N  0.983  0.250  0.332

---

[6]
VASP calculation (PBE) on a geometry-optimized PrCoC6N6 structure.

Summary:
The formation enthalpy at 0 K comes out at -0.21 eV/atom. The calculated volume is 673.8 Å³/cell. Its space-group type is P6_3/mmc, No. 194. The electronic total energy comes out at -236.21 eV for the cell shown. Its total magnetic moment is 0.0 μB/cell.

Unit cell a=7.668 b=7.668 c=13.230 alpha=90.00 beta=90.00 gamma=120.00
Fractional positions:
Pr  0.333  0.667  0.250
Pr  0.667  0.333  0.750
Co  0.000  0.000  0.000
Co  0.000  0.000  0.500
C  0.115  0.229  0.081
C  0.115  0.229  0.419
C  0.115  0.885  0.081
C  0.115  0.885  0.419
C  0.229  0.115  0.581
C  0.229  0.115  0.919
C  0.771  0.885  0.081
C  0.771  0.885  0.419
C  0.885  0.115  0.581
C  0.885  0.115  0.919
C  0.885  0.771  0.581
C  0.885  0.771  0.919
N  0.186  0.372  0.133
N  0.186  0.372  0.367
N  0.186  0.814  0.133
N  0.186  0.814  0.367
N  0.372  0.186  0.633
N  0.372  0.186  0.867
N  0.628  0.814  0.133
N  0.628  0.814  0.367
N  0.814  0.186  0.633
N  0.814  0.186  0.867
N  0.814  0.628  0.633
N  0.814  0.628  0.867

---

[7]
VASP calculation (PBE) on a geometry-optimized Sr3CoC3N3 structure.

Summary:
The formation enthalpy at 0 K comes out at -0.72 eV/atom. The calculated volume is 357.4 Å³/cell. Its space-group type is P6_3/m, No. 176. The electronic total energy comes out at -141.95 eV for the cell shown. Its total magnetic moment is 0.0 μB/cell.

Unit cell a=8.716 b=8.716 c=5.433 alpha=90.00 beta=90.00 gamma=120.00
Fractional positions:
Sr  0.065  0.373  0.250
Sr  0.307  0.935  0.250
Sr  0.373  0.307  0.750
Sr  0.627  0.693  0.250
Sr  0.693  0.065  0.750
Sr  0.935  0.627  0.750
Co  0.333  0.667  0.750
Co  0.667  0.333  0.250
C  0.148  0.451  0.750
C  0.303  0.852  0.750
C  0.451  0.303  0.250
C  0.549  0.697  0.750
C  0.697  0.148  0.250
C  0.852  0.549  0.250
N  0.023  0.296  0.750
N  0.272  0.977  0.750
N  0.296  0.272  0.250
N  0.704  0.728  0.750
N  0.728  0.023  0.250
N  0.977  0.704  0.250

---

[8]
VASP calculation (PBE) on a geometry-optimized Nb3Co3C structure.

Summary:
The formation enthalpy at 0 K comes out at -0.26 eV/atom. The calculated volume is 366.1 Å³/cell. Its space-group type is Fd-3m, No. 227. The electronic total energy comes out at -250.60 eV for the cell shown. Its total magnetic moment is 0.0 μB/cell.

Unit cell a=8.030 b=8.030 c=8.030 alpha=60.00 beta=60.00 gamma=60.00
Fractional positions:
Nb  0.074  0.074  0.676
Nb  0.074  0.676  0.074
Nb  0.074  0.676  0.676
Nb  0.324  0.324  0.926
Nb  0.324  0.926  0.324
Nb  0.324  0.926  0.926
Nb  0.676  0.074  0.074
Nb  0.676  0.074  0.676
Nb  0.676  0.676  0.074
Nb  0.926  0.324  0.324
Nb  0.926  0.324  0.926
Nb  0.926  0.926  0.324
Co  0.000  0.500  0.500
Co  0.298  0.298  0.298
Co  0.298  0.298  0.606
Co  0.298  0.606  0.298
Co  0.394  0.702  0.702
Co  0.500  0.000  0.500
Co  0.500  0.500  0.000
Co  0.500  0.500  0.500
Co  0.606  0.298  0.298
Co  0.702  0.394  0.702
Co  0.702  0.702  0.394
Co  0.702  0.702  0.702
C  0.000  0.000  0.000
C  0.000  0.000  0.500
C  0.000  0.500  0.000
C  0.500  0.000  0.000

---

[9]
VASP calculation (PBE) on a geometry-optimized NdCoC2 structure.

Summary:
The formation enthalpy at 0 K comes out at -0.27 eV/atom. The calculated volume is 104.6 Å³/cell. Its space-group type is Cc, No. 9. The electronic total energy comes out at -62.81 eV for the cell shown.

Unit cell a=3.798 b=3.798 c=7.405 alpha=98.21 beta=98.21 gamma=90.03
Fractional positions:
Nd  0.073  0.927  0.500
Nd  0.927  0.073  0.000
Co  0.371  0.513  0.806
Co  0.513  0.371  0.306
C  0.441  0.593  0.073
C  0.490  0.851  0.226
C  0.593  0.441  0.573
C  0.851  0.490  0.726

---

[10]
VASP calculation (PBE) on a geometry-optimized PrCoC2 structure.

Summary:
The formation enthalpy at 0 K comes out at -0.24 eV/atom. The calculated volume is 106.7 Å³/cell. Its space-group type is Cc, No. 9. The electronic total energy comes out at -62.64 eV for the cell shown.

Unit cell a=3.830 b=3.830 c=7.433 alpha=98.44 beta=98.44 gamma=90.02
Fractional positions:
Pr  0.073  0.927  0.500
Pr  0.927  0.073  0.000
Co  0.487  0.627  0.194
Co  0.627  0.487  0.694
C  0.149  0.510  0.773
C  0.406  0.557  0.926
C  0.510  0.149  0.273
C  0.557  0.406  0.426

---

[11]
VASP calculation (PBE) on a geometry-optimized PuCoC2 structure.

Summary:
The formation enthalpy at 0 K comes out at -0.14 eV/atom. The calculated volume is 49.1 Å³/cell. Its space-group type is Amm2, No. 38. The electronic total energy comes out at -40.37 eV for the cell shown.

Unit cell a=3.632 b=3.747 c=3.747 alpha=74.19 beta=90.00 gamma=90.00
Fractional positions:
Pu  0.000  0.000  0.000
Co  0.500  0.612  0.612
C  0.500  0.150  0.459
C  0.500  0.459  0.150

---

[12]
VASP calculation (PBE) on a geometry-optimized ScCoC2 structure.

Summary:
The formation enthalpy at 0 K comes out at -0.32 eV/atom. The calculated volume is 81.3 Å³/cell. Its space-group type is P4/nmm, No. 129. The electronic total energy comes out at -66.37 eV for the cell shown.

Unit cell a=3.367 b=3.367 c=7.168 alpha=90.00 beta=90.00 gamma=90.00
Fractional positions:
Sc  0.250  0.250  0.154
Sc  0.750  0.750  0.846
Co  0.250  0.750  0.500
Co  0.750  0.250  0.500
C  0.250  0.250  0.650
C  0.250  0.250  0.847
C  0.750  0.750  0.153
C  0.750  0.750  0.350

---

[13]
VASP calculation (PBE) on a geometry-optimized Sm2Co18Si4C3 structure.

Summary:
The formation enthalpy at 0 K comes out at -0.28 eV/atom. The calculated volume is 312.1 Å³/cell. Its space-group type is C2/m, No. 12. The electronic total energy comes out at -194.36 eV for the cell shown. Its total magnetic moment is 11.9 μB/cell.

Unit cell a=7.671 b=7.671 c=6.397 alpha=114.42 beta=114.42 gamma=80.15
Fractional positions:
Sm  0.245  0.245  0.367
Sm  0.755  0.755  0.633
Co  0.076  0.834  0.143
Co  0.078  0.675  0.431
Co  0.166  0.924  0.857
Co  0.169  0.585  0.823
Co  0.248  0.248  0.881
Co  0.325  0.922  0.569
Co  0.327  0.580  0.258
Co  0.415  0.831  0.177
Co  0.420  0.673  0.742
Co  0.580  0.327  0.258
Co  0.585  0.169  0.823
Co  0.673  0.420  0.742
Co  0.675  0.078  0.431
Co  0.752  0.752  0.119
Co  0.831  0.415  0.177
Co  0.834  0.076  0.143
Co  0.922  0.325  0.569
Co  0.924  0.166  0.857
Si  0.000  0.000  0.500
Si  0.000  0.500  0.000
Si  0.500  0.000  0.000
Si  0.500  0.500  0.000
C  0.000  0.500  0.500
C  0.500  0.000  0.500
C  0.500  0.500  0.500

---

[14]
VASP calculation (PBE) on a geometry-optimized Ta2Ti2Co2C structure.

Summary:
The formation enthalpy at 0 K comes out at -0.45 eV/atom. The calculated volume is 384.1 Å³/cell. Its space-group type is I-4m2, No. 119. The electronic total energy comes out at -264.49 eV for the cell shown. Its total magnetic moment is 0.0 μB/cell.

Unit cell a=8.153 b=8.153 c=8.153 alpha=119.85 beta=119.85 gamma=90.26
Fractional positions:
Ta  0.188  0.188  0.000
Ta  0.189  0.189  0.377
Ta  0.189  0.811  0.000
Ta  0.562  0.062  0.500
Ta  0.811  0.189  0.000
Ta  0.811  0.811  0.623
Ta  0.812  0.812  0.000
Ta  0.938  0.438  0.500
Ti  0.374  0.125  0.751
Ti  0.374  0.623  0.249
Ti  0.377  0.626  0.751
Ti  0.564  0.064  0.128
Ti  0.564  0.436  0.500
Ti  0.875  0.626  0.249
Ti  0.936  0.064  0.500
Ti  0.936  0.436  0.872
Co  0.165  0.500  0.335
Co  0.165  0.831  0.665
Co  0.169  0.835  0.335
Co  0.248  0.416  0.832
Co  0.500  0.835  0.665
Co  0.584  0.416  0.168
Co  0.584  0.416  0.832
Co  0.584  0.752  0.168
C  0.379  0.128  0.251
C  0.872  0.124  0.251
C  0.872  0.621  0.749
C  0.876  0.128  0.749

---

[15]
VASP calculation (PBE) on a geometry-optimized Ta6V3Co3C2 structure.

Summary:
The formation enthalpy at 0 K comes out at -0.39 eV/atom. The calculated volume is 382.5 Å³/cell. Its space-group type is Imm2, No. 44. The electronic total energy comes out at -287.29 eV for the cell shown. Its total magnetic moment is 2.0 μB/cell.

Unit cell a=8.150 b=8.150 c=8.150 alpha=120.15 beta=119.94 gamma=89.92
Fractional positions:
Ta  0.000  0.000  0.000
Ta  0.000  0.002  0.618
Ta  0.000  0.382  0.999
Ta  0.249  0.133  0.501
Ta  0.249  0.748  0.116
Ta  0.250  0.750  0.500
Ta  0.383  0.002  0.001
Ta  0.383  0.382  0.382
Ta  0.384  0.384  0.000
Ta  0.632  0.133  0.884
Ta  0.632  0.748  0.499
Ta  0.635  0.135  0.500
V  0.023  0.362  0.661
V  0.321  0.571  0.751
V  0.701  0.362  0.339
V  0.814  0.056  0.242
V  0.814  0.572  0.758
V  0.820  0.571  0.249
Co  0.022  0.363  0.341
Co  0.022  0.681  0.659
Co  0.611  0.453  0.842
Co  0.611  0.769  0.158
Co  0.612  0.769  0.843
Co  0.925  0.769  0.157
C  0.314  0.066  0.248
C  0.315  0.065  0.749
C  0.315  0.566  0.251
C  0.818  0.066  0.752

---

[16]
VASP calculation (PBE) on a geometry-optimized ThCoC2 structure.

Summary:
The formation enthalpy at 0 K comes out at -0.31 eV/atom. The calculated volume is 53.0 Å³/cell. Its space-group type is Amm2, No. 38. The electronic total energy comes out at -34.23 eV for the cell shown.

Unit cell a=3.825 b=3.798 c=3.798 alpha=73.78 beta=90.00 gamma=90.00
Fractional positions:
Th  0.000  0.000  0.000
Co  0.500  0.609  0.609
C  0.500  0.149  0.459
C  0.500  0.459  0.149